# 1
A plane-wave DFT calculation with PBE was carried out for a geometry-optimized Tb3HoCo8 structure.

## Properties
Space-group type = R3m
Volume = 182.9 Å³ per cell

Unit cell a=8.7879 b=8.7879 c=8.7879 alpha=33.38 beta=33.38 gamma=33.38
Closest atoms and distances in Å follow each position.
Element x y z (fractional)
1 Tb 0.0000 0.0000 0.0000  12 Co 2.96-2.97, 4 Tb 3.09-3.11
2 Tb 0.1251 0.1251 0.1251  12 Co 2.96-2.97, 3 Ho 3.09, 1 Tb 3.11
3 Tb 0.6250 0.6250 0.6250  12 Co 2.96-2.97, 3 Tb 3.09, 1 Ho 3.11
4 Ho 0.4999 0.4999 0.4999  12 Co 2.96-2.97, 4 Tb 3.09-3.11
5 Co 0.0624 0.0624 0.5624  6 Co 2.52-2.54
6 Co 0.0624 0.5624 0.0624  6 Co 2.52-2.54
7 Co 0.0628 0.5625 0.5625  6 Co 2.52-2.54
8 Co 0.3125 0.3125 0.3125  6 Co 2.54
9 Co 0.5624 0.0624 0.0624  6 Co 2.52-2.54
10 Co 0.5625 0.0628 0.5625  6 Co 2.52-2.54
11 Co 0.5625 0.5625 0.0628  6 Co 2.52-2.54
12 Co 0.8126 0.8126 0.8126  6 Co 2.53

# 2
A plane-wave DFT calculation with PBE was carried out for a geometry-optimized Ho6CoTe2 structure.

## Properties
Space-group type = P-62m
Volume = 238.3 Å³ per cell

Unit cell a=8.3721 b=8.3721 c=3.9253 alpha=90.00 beta=90.00 gamma=120.00
Closest atoms and distances in Å follow each position.
Element x y z (fractional)
1 Ho 0.0000 0.3984 0.0000  4 Te 3.23, 1 Co 3.34, 4 Ho 3.51
2 Ho 0.0000 0.7638 0.5000  2 Co 2.79
3 Ho 0.2362 0.2362 0.5000  2 Co 2.79
4 Ho 0.3984 0.0000 0.0000  4 Te 3.23, 1 Co 3.34, 4 Ho 3.51
5 Ho 0.6016 0.6016 0.0000  4 Te 3.23, 1 Co 3.34, 4 Ho 3.51
6 Ho 0.7638 0.0000 0.5000  2 Co 2.79
7 Co 0.0000 0.0000 0.0000  6 Ho 2.79
8 Te 0.3333 0.6667 0.5000  9 Ho 3.23-3.27
9 Te 0.6667 0.3333 0.5000  9 Ho 3.23-3.27

# 3
A plane-wave DFT calculation with PBE was carried out for a geometry-optimized HoZrCo4 structure.

## Properties
Space-group type = F-43m
Volume = 84.3 Å³ per cell

Unit cell a=4.9212 b=4.9212 c=4.9212 alpha=60.00 beta=60.00 gamma=60.00
Closest atoms and distances in Å follow each position.
Element x y z (fractional)
1 Ho 0.0000 0.0000 0.0000  12 Co 2.89, 4 Zr 3.01
2 Zr 0.2500 0.2500 0.2500  12 Co 2.89, 4 Ho 3.01
3 Co 0.1254 0.6249 0.6249  6 Co 2.46
4 Co 0.6249 0.1254 0.6249  6 Co 2.46
5 Co 0.6249 0.6249 0.1254  6 Co 2.46
6 Co 0.6249 0.6249 0.6249  6 Co 2.46

# 4
A plane-wave DFT calculation with PBE was carried out for a geometry-optimized Co3I structure.

## Properties
Space-group type = I4/mmm
Energy relative to the lowest polymorph listed for this composition = 0.37 eV per formula unit
Volume = 54.2 Å³ per cell

Unit cell a=4.6082 b=4.6082 c=4.6082 alpha=131.22 beta=131.22 gamma=71.46
Closest atoms and distances in Å follow each position.
Element x y z (fractional)
1 Co 0.0000 0.0000 0.0000  8 Co 2.67, 4 I 2.69
2 Co 0.2500 0.7500 0.5000  4 I 2.67, 8 Co 2.67-2.69
3 Co 0.7500 0.2500 0.5000  4 I 2.67, 8 Co 2.67-2.69
4 I 0.5000 0.5000 0.0000  12 Co 2.67-2.69

E_form for every record listed, in sequence, given in eV per atom: -0.174, -0.749, -0.238, 0.643.